No. 1
ZnMoO4 r2SCAN relaxed; formation energy from the elements = -2.005 eV/atom; magnetization = 0.0 μB/f.u.
1.0
6.958 0.004 -0.012
-1.707 8.170 0.036
-2.828 -1.777 9.085
Zn Mo O
6 6 24
Direct
0.254 0.695 0.910 Zn
0.746 0.305 0.090 Zn
0.536 0.695 0.487 Zn
0.464 0.305 0.513 Zn
0.969 0.886 0.714 Zn
0.031 0.114 0.286 Zn
0.505 0.988 0.756 Mo
0.495 0.012 0.244 Mo
0.700 0.604 0.840 Mo
0.300 0.396 0.160 Mo
0.979 0.704 0.375 Mo
0.021 0.296 0.625 Mo
0.264 0.866 0.763 O
0.736 0.134 0.237 O
0.559 0.711 0.924 O
0.441 0.289 0.076 O
0.553 0.523 0.650 O
0.447 0.477 0.350 O
0.552 0.868 0.355 O
0.448 0.132 0.645 O
0.659 0.095 0.929 O
0.341 0.905 0.071 O
0.651 0.862 0.683 O
0.349 0.138 0.317 O
0.024 0.124 0.716 O
0.976 0.876 0.284 O
0.048 0.268 0.141 O
0.952 0.732 0.859 O
0.150 0.481 0.753 O
0.850 0.519 0.247 O
0.141 0.272 0.484 O
0.859 0.728 0.516 O
0.256 0.562 0.073 O
0.744 0.438 0.927 O
0.237 0.704 0.461 O
0.763 0.296 0.539 O

No. 2
Zn3Mo2O9 r2SCAN relaxed; formation energy from the elements = -1.946 eV/atom; magnetization = 0.0 μB/f.u.
1.0
7.103 0.000 0.000
0.000 7.757 0.163
0.000 3.758 7.519
Zn Mo O
6 4 18
Direct
0.000 0.500 0.500 Zn
0.500 0.500 0.500 Zn
0.250 0.647 0.705 Zn
0.750 0.353 0.295 Zn
0.250 0.843 0.263 Zn
0.750 0.157 0.737 Zn
0.250 0.348 0.199 Mo
0.750 0.652 0.801 Mo
0.250 0.053 0.781 Mo
0.750 0.947 0.219 Mo
0.250 0.106 0.235 O
0.750 0.894 0.765 O
0.250 0.502 0.967 O
0.750 0.498 0.033 O
0.048 0.206 0.721 O
0.548 0.794 0.279 O
0.952 0.794 0.279 O
0.452 0.206 0.721 O
0.250 0.918 0.661 O
0.750 0.082 0.339 O
0.250 0.893 0.012 O
0.750 0.107 0.988 O
0.049 0.392 0.300 O
0.549 0.608 0.700 O
0.951 0.608 0.700 O
0.451 0.392 0.300 O
0.250 0.604 0.493 O
0.750 0.396 0.507 O

No. 3
ZnMoO4 r2SCAN relaxed; formation energy from the elements = -2.005 eV/atom; magnetization = 0.0 μB/f.u.
1.0
5.737 0.000 0.000
0.000 4.674 -0.035
0.000 0.045 4.877
Zn Mo O
2 2 8
Direct
0.686 0.500 0.750 Zn
0.314 0.500 0.250 Zn
0.811 0.000 0.250 Mo
0.189 0.000 0.750 Mo
0.623 0.745 0.404 O
0.623 0.255 0.096 O
0.377 0.255 0.596 O
0.377 0.745 0.904 O
0.894 0.217 0.561 O
0.894 0.783 0.939 O
0.106 0.783 0.439 O
0.106 0.217 0.061 O

No. 4
Mo3Os r2SCAN relaxed; formation energy from the elements = 0.002 eV/atom; magnetization = 0.0 μB/f.u.
1.0
-3.731 -2.138 -2.504
1.310 -4.436 1.836
-3.021 0.718 3.889
Mo Os
6 2
Direct
0.250 0.000 0.500 Mo
0.750 0.000 0.500 Mo
0.000 0.500 0.250 Mo
0.000 0.500 0.750 Mo
0.500 0.750 0.000 Mo
0.500 0.250 0.000 Mo
0.000 0.000 0.000 Os
0.500 0.500 0.500 Os

No. 5
V2MoOs r2SCAN relaxed; formation energy from the elements = -0.372 eV/atom; magnetization = 0.0 μB/f.u.
1.0
-2.141 -2.676 2.572
-4.130 0.724 0.886
-3.022 -2.570 -1.620
V Mo Os
2 1 1
Direct
0.000 0.000 0.000 V
0.500 0.500 0.500 V
0.250 0.250 0.250 Mo
0.750 0.750 0.750 Os

No. 6
Mo8P5 r2SCAN relaxed; formation energy from the elements = -0.504 eV/atom; magnetization = 0.0 μB/f.u.
1.0
3.201 0.000 0.000
0.000 6.169 -2.192
0.000 0.007 9.411
Mo P
8 5
Direct
0.000 0.005 0.003 Mo
0.000 0.236 0.780 Mo
0.000 0.789 0.249 Mo
0.000 0.359 0.308 Mo
0.000 0.798 0.571 Mo
0.500 0.398 0.051 Mo
0.500 0.609 0.781 Mo
0.500 0.130 0.498 Mo
0.000 0.424 0.575 P
0.000 0.625 0.982 P
0.500 0.063 0.209 P
0.500 0.653 0.376 P
0.500 0.978 0.789 P

No. 7
MoPRh r2SCAN relaxed; formation energy from the elements = -0.629 eV/atom; magnetization = 0.0 μB/f.u.
1.0
-2.639 -1.621 2.408
-0.115 -4.874 -3.407
5.162 -2.774 3.792
Mo P Rh
4 4 4
Direct
0.250 0.033 0.164 Mo
0.250 0.533 0.336 Mo
0.750 0.967 0.836 Mo
0.750 0.467 0.664 Mo
0.250 0.748 0.615 P
0.250 0.248 0.885 P
0.750 0.252 0.385 P
0.750 0.752 0.115 P
0.250 0.137 0.573 Rh
0.250 0.637 0.927 Rh
0.750 0.863 0.427 Rh
0.750 0.363 0.073 Rh

No. 8
MoPRu r2SCAN relaxed; formation energy from the elements = -0.541 eV/atom; magnetization = 0.0 μB/f.u.
1.0
-2.784 1.897 1.914
-1.023 -4.882 3.349
4.679 2.195 4.630
Mo P Ru
4 4 4
Direct
0.750 0.974 0.169 Mo
0.250 0.026 0.831 Mo
0.750 0.474 0.331 Mo
0.250 0.526 0.669 Mo
0.250 0.255 0.116 P
0.750 0.745 0.884 P
0.250 0.755 0.384 P
0.750 0.245 0.616 P
0.250 0.640 0.069 Ru
0.750 0.360 0.931 Ru
0.250 0.140 0.431 Ru
0.750 0.860 0.569 Ru

Among the records above, which one has the highest formation energy from the elements?
Mo3Os

What did the seventh record say?
MoPRh r2SCAN relaxed; formation energy from the elements = -0.629 eV/atom; magnetization = 0.0 μB/f.u.
1.0
-2.639 -1.621 2.408
-0.115 -4.874 -3.407
5.162 -2.774 3.792
Mo P Rh
4 4 4
Direct
0.250 0.033 0.164 Mo
0.250 0.533 0.336 Mo
0.750 0.967 0.836 Mo
0.750 0.467 0.664 Mo
0.250 0.748 0.615 P
0.250 0.248 0.885 P
0.750 0.252 0.385 P
0.750 0.752 0.115 P
0.250 0.137 0.573 Rh
0.250 0.637 0.927 Rh
0.750 0.863 0.427 Rh
0.750 0.363 0.073 Rh

Which value of formation energy from the elements does entry 2 give?
-1.946 eV/atom